# 1
Entry from the Materials Project: BaSrNdNbO6 after structural relaxation (PBE).

Cell: 6.043 6.093 8.566 Å, 89.66 89.61 89.91°
Positions (direct):
Ba 0.005 0.027 0.249
Ba 0.995 0.973 0.751
Sr 0.491 0.535 0.248
Sr 0.509 0.465 0.752
Nd 0.000 0.500 0.000
Nd 0.500 0.000 0.500
Nb 0.000 0.500 0.500
Nb 0.500 0.000 0.000
O 0.089 0.504 0.730
O 0.198 0.764 0.462
O 0.233 0.804 0.028
O 0.264 0.303 0.450
O 0.311 0.271 0.049
O 0.433 0.044 0.770
O 0.567 0.956 0.230
O 0.689 0.729 0.951
O 0.736 0.697 0.550
O 0.767 0.196 0.972
O 0.802 0.236 0.538
O 0.911 0.496 0.270

offset from the most stable computed form	0.00	eV/f.u.
E	-155.53	eV/cell
E_form	-3.37	eV per atom

***

# 2
Entry from the Materials Project: TeO2 after structural relaxation (PBE).

Cell: 3.326 13.692 3.390 Å, 90.00 90.00 90.00°
Positions (direct):
Te 0.000 0.146 0.250
Te 0.000 0.854 0.750
Te 0.500 0.354 0.750
Te 0.500 0.646 0.250
O 0.000 0.250 0.750
O 0.000 0.402 0.250
O 0.000 0.598 0.750
O 0.000 0.750 0.250
O 0.500 0.098 0.750
O 0.500 0.250 0.250
O 0.500 0.750 0.750
O 0.500 0.902 0.250

E	-57.71	eV/cell
E_form	-0.92	eV per atom

***

# 3
Entry from the Materials Project: Ta3Si after structural relaxation (PBE).

Cell: 10.234 10.234 5.215 Å, 90.00 90.00 90.00°
Positions (direct):
Ta 0.037 0.938 0.237
Ta 0.062 0.537 0.737
Ta 0.104 0.267 0.023
Ta 0.150 0.836 0.721
Ta 0.164 0.650 0.221
Ta 0.233 0.104 0.477
Ta 0.267 0.396 0.477
Ta 0.336 0.850 0.221
Ta 0.350 0.664 0.721
Ta 0.396 0.233 0.023
Ta 0.438 0.963 0.737
Ta 0.463 0.562 0.237
Ta 0.537 0.438 0.763
Ta 0.562 0.037 0.263
Ta 0.604 0.767 0.977
Ta 0.650 0.336 0.279
Ta 0.664 0.150 0.779
Ta 0.733 0.604 0.523
Ta 0.767 0.896 0.523
Ta 0.836 0.350 0.779
Ta 0.850 0.164 0.279
Ta 0.896 0.733 0.977
Ta 0.938 0.463 0.263
Ta 0.963 0.062 0.763
Si 0.045 0.279 0.529
Si 0.221 0.045 0.971
Si 0.279 0.455 0.971
Si 0.455 0.221 0.529
Si 0.545 0.779 0.471
Si 0.721 0.545 0.029
Si 0.779 0.955 0.029
Si 0.955 0.721 0.471

E	-342.03	eV/cell
E_form	-0.42	eV per atom

***

# 4
Entry from the Materials Project: PRu4C15O14F3 after structural relaxation (PBE).

Cell: 10.024 16.608 16.907 Å, 108.90 100.67 102.66°
Positions (direct):
P 0.197 0.451 0.206
P 0.219 0.040 0.742
P 0.781 0.960 0.258
P 0.803 0.549 0.794
Ru 0.056 0.544 0.264
Ru 0.103 0.894 0.637
Ru 0.181 0.082 0.885
Ru 0.226 0.901 0.811
Ru 0.375 0.626 0.331
Ru 0.394 0.513 0.162
Ru 0.399 0.445 0.298
Ru 0.404 0.977 0.717
Ru 0.596 0.023 0.283
Ru 0.601 0.555 0.702
Ru 0.606 0.487 0.838
Ru 0.625 0.374 0.669
Ru 0.774 0.099 0.189
Ru 0.819 0.918 0.115
Ru 0.897 0.106 0.363
Ru 0.944 0.456 0.736
C 0.005 0.648 0.330
C 0.018 0.846 0.748
C 0.023 0.978 0.174
C 0.062 0.589 0.170
C 0.063 0.499 0.357
C 0.069 0.340 0.122
C 0.093 0.110 0.392
C 0.098 0.771 0.578
C 0.128 0.921 0.539
C 0.131 0.537 0.798
C 0.155 0.197 0.895
C 0.158 0.083 0.997
C 0.193 0.898 0.918
C 0.205 0.133 0.701
C 0.250 0.786 0.765
C 0.304 0.531 0.062
C 0.327 0.730 0.392
C 0.331 0.398 0.377
C 0.372 0.584 0.427
C 0.377 0.666 0.231
C 0.388 0.130 0.936
C 0.395 0.515 0.653
C 0.401 0.331 0.230
C 0.407 0.428 0.819
C 0.414 0.404 0.093
C 0.423 0.934 0.208
C 0.424 0.323 0.623
C 0.433 0.016 0.627
C 0.435 0.950 0.861
C 0.466 0.871 0.671
C 0.534 0.129 0.329
C 0.565 0.050 0.139
C 0.567 0.984 0.373
C 0.576 0.677 0.377
C 0.577 0.066 0.792
C 0.586 0.596 0.907
C 0.593 0.572 0.181
C 0.599 0.669 0.770
C 0.605 0.485 0.347
C 0.612 0.870 0.064
C 0.623 0.334 0.769
C 0.628 0.416 0.573
C 0.669 0.602 0.623
C 0.673 0.270 0.608
C 0.696 0.469 0.938
C 0.750 0.214 0.235
C 0.795 0.867 0.299
C 0.807 0.102 0.082
C 0.842 0.917 0.003
C 0.845 0.803 0.105
C 0.869 0.463 0.202
C 0.872 0.079 0.461
C 0.902 0.229 0.422
C 0.907 0.890 0.608
C 0.931 0.660 0.878
C 0.937 0.501 0.643
C 0.938 0.411 0.830
C 0.977 0.022 0.826
C 0.982 0.154 0.252
C 0.995 0.352 0.670
O 0.027 0.291 0.633
O 0.057 0.469 0.410
O 0.057 0.613 0.113
O 0.097 0.197 0.260
O 0.099 0.698 0.543
O 0.135 0.934 0.477
O 0.138 0.264 0.899
O 0.143 0.009 0.208
O 0.143 0.085 0.064
O 0.171 0.889 0.980
O 0.211 0.112 0.413
O 0.244 0.586 0.835
O 0.254 0.538 0.998
O 0.262 0.715 0.739
O 0.272 0.494 0.627
O 0.287 0.396 0.811
O 0.294 0.369 0.425
O 0.303 0.291 0.591
O 0.308 0.795 0.433
O 0.315 0.880 0.166
O 0.376 0.585 0.496
O 0.382 0.719 0.199
O 0.404 0.259 0.191
O 0.429 0.340 0.047
O 0.454 0.037 0.092
O 0.459 0.044 0.576
O 0.492 0.838 0.031
O 0.499 0.192 0.359
O 0.501 0.808 0.641
O 0.508 0.162 0.969
O 0.541 0.956 0.424
O 0.546 0.963 0.908
O 0.571 0.660 0.953
O 0.596 0.741 0.809
O 0.618 0.281 0.801
O 0.624 0.415 0.504
O 0.685 0.120 0.834
O 0.692 0.205 0.567
O 0.697 0.709 0.409
O 0.706 0.631 0.575
O 0.713 0.604 0.189
O 0.728 0.506 0.373
O 0.738 0.285 0.261
O 0.746 0.462 0.002
O 0.756 0.414 0.165
O 0.789 0.888 0.587
O 0.829 0.111 0.020
O 0.857 0.915 0.936
O 0.857 0.991 0.792
O 0.862 0.736 0.101
O 0.865 0.066 0.523
O 0.901 0.302 0.457
O 0.903 0.803 0.740
O 0.943 0.387 0.887
O 0.943 0.531 0.590
O 0.973 0.709 0.367
F 0.011 0.650 0.946
F 0.024 0.699 0.841
F 0.077 0.149 0.701
F 0.138 0.280 0.088
F 0.219 0.115 0.619
F 0.309 0.212 0.754
F 0.691 0.788 0.246
F 0.781 0.885 0.381
F 0.862 0.720 0.912
F 0.923 0.851 0.299
F 0.976 0.301 0.159
F 0.989 0.350 0.054

E	-1134.31	eV/cell
E_form	-1.04	eV per atom

***

# 5
Entry from the Materials Project: La3Ti after structural relaxation (PBE).

Cell: 7.168 7.168 5.678 Å, 90.00 90.00 120.00°
Positions (direct):
La 0.176 0.352 0.250
La 0.176 0.824 0.250
La 0.352 0.176 0.750
La 0.648 0.824 0.250
La 0.824 0.176 0.750
La 0.824 0.648 0.750
Ti 0.333 0.667 0.750
Ti 0.667 0.333 0.250

E	-43.43	eV/cell
E_form	0.25	eV per atom

***

# 6
Entry from the Materials Project: Ba2CeZrO6 after structural relaxation (PBE).

Cell: 8.715 8.715 8.715 Å, 90.00 90.00 90.00°
Positions (direct):
Ba 0.250 0.250 0.250
Ba 0.250 0.250 0.750
Ba 0.250 0.750 0.250
Ba 0.250 0.750 0.750
Ba 0.750 0.250 0.250
Ba 0.750 0.250 0.750
Ba 0.750 0.750 0.250
Ba 0.750 0.750 0.750
Ce 0.000 0.000 0.000
Ce 0.000 0.500 0.500
Ce 0.500 0.000 0.500
Ce 0.500 0.500 0.000
Zr 0.000 0.000 0.500
Zr 0.000 0.500 0.000
Zr 0.500 0.000 0.000
Zr 0.500 0.500 0.500
O 0.020 0.522 0.757
O 0.020 0.978 0.743
O 0.022 0.243 0.520
O 0.022 0.257 0.980
O 0.243 0.520 0.022
O 0.243 0.980 0.478
O 0.257 0.520 0.478
O 0.257 0.980 0.022
O 0.478 0.243 0.980
O 0.478 0.257 0.520
O 0.480 0.522 0.743
O 0.480 0.978 0.757
O 0.520 0.022 0.243
O 0.520 0.478 0.257
O 0.522 0.743 0.480
O 0.522 0.757 0.020
O 0.743 0.020 0.978
O 0.743 0.480 0.522
O 0.757 0.020 0.522
O 0.757 0.480 0.978
O 0.978 0.743 0.020
O 0.978 0.757 0.480
O 0.980 0.022 0.257
O 0.980 0.478 0.243

E	-319.38	eV/cell
E_form	-3.60	eV per atom

***

# 7
Entry from the Materials Project: SmAl3B4O12 after structural relaxation (PBE).

Cell: 5.952 5.952 5.952 Å, 104.15 104.15 104.15°
Positions (direct):
Sm 0.000 0.000 0.000
Al 0.000 0.556 0.444
Al 0.444 0.000 0.556
Al 0.556 0.444 0.000
B 0.057 0.500 0.943
B 0.500 0.500 0.500
B 0.500 0.943 0.057
B 0.943 0.057 0.500
O 0.027 0.624 0.776
O 0.091 0.909 0.500
O 0.224 0.376 0.973
O 0.351 0.649 0.500
O 0.376 0.973 0.224
O 0.500 0.091 0.909
O 0.500 0.351 0.649
O 0.624 0.776 0.027
O 0.649 0.500 0.351
O 0.776 0.027 0.624
O 0.909 0.500 0.091
O 0.973 0.224 0.376

E	-158.65	eV/cell
E_form	-3.24	eV per atom

***

# 8
Entry from the Materials Project: Zr6FeSb2 after structural relaxation (PBE).

Cell: 7.849 7.849 3.621 Å, 90.00 90.00 120.00°
Positions (direct):
Zr 0.000 0.240 0.000
Zr 0.000 0.600 0.500
Zr 0.240 0.000 0.000
Zr 0.400 0.400 0.500
Zr 0.600 0.000 0.500
Zr 0.760 0.760 0.000
Fe 0.000 0.000 0.500
Sb 0.333 0.667 0.000
Sb 0.667 0.333 0.000

E	-72.70	eV/cell
E_form	-0.56	eV per atom

***

Question: Look up the E of the third one.
Answer: -342.03 eV/cell